Density functional theory data (PBE-GGA) for crystalline Al2ZnO4 at its relaxed geometry.

Output
The theoretical density comes out at 4444 kg/m3. The calculated formation energy comes out at -2.894 eV/atom. The value obtained for the magnetization is 0.000 μB/f.u. Its MP2020-corrected energy is -6.971 eV per atom. The calculation puts the raw total energy at -6.579 eV per atom.

Unit cell a=5.7949 b=5.7949 c=5.7949 alpha=120.96 beta=119.56 gamma=89.55
Closest atoms and distances in Å follow each position.
Fractional coordinates of all 14 atoms:
Al (0.8853, 0.1353, 0.7500)  4 O 1.80-1.84
Al (0.0000, 0.5000, 0.5000)  6 O 1.91-1.98
Al (0.5000, 0.5000, 0.0000)  6 O 1.91-1.98
Al (0.1147, 0.8647, 0.2500)  4 O 1.80-1.84
Zn (0.5000, 0.0000, 0.0000)  6 O 2.07-2.12
Zn (0.5000, 0.5000, 0.5000)  6 O 2.07-2.12
O (0.2635, 0.2680, 0.9955)  2 Al 1.80-1.91
O (0.7573, 0.2724, 0.0151)  3 Al 1.84-1.98
O (0.7726, 0.2680, 0.5045)  2 Al 1.80-1.91
O (0.7573, 0.7422, 0.4849)  3 Al 1.84-1.98
O (0.2427, 0.2578, 0.5151)  3 Al 1.84-1.98
O (0.2274, 0.7320, 0.4955)  2 Al 1.80-1.91
O (0.2427, 0.7276, 0.9849)  3 Al 1.84-1.98
O (0.7365, 0.7320, 0.0045)  2 Al 1.80-1.91

Density functional theory data (PBE-GGA) for crystalline CdH6CBr3N3 at its relaxed geometry.

Output
The theoretical density comes out at 3043 kg/m3. The calculated formation energy comes out at -0.567 eV/atom. The value obtained for the magnetization is 0.001 μB/f.u. Its MP2020-corrected energy is -4.883 eV per atom. The calculation puts the raw total energy at -4.806 eV per atom.

Unit cell a=8.9863 b=8.9863 c=7.6047 alpha=82.25 beta=82.25 gamma=129.46
Closest atoms and distances in Å follow each position.
Fractional coordinates of all 28 atoms:
Cd (0.9508, 0.0492, 0.7500)  5 Br 2.63-2.93
Cd (0.0492, 0.9508, 0.2500)  5 Br 2.63-2.93
H (0.3473, 0.5272, 0.9142)  1 N 1.02
H (0.4728, 0.6527, 0.5858)  1 N 1.02
H (0.2780, 0.6409, 0.0285)  1 N 1.02
H (0.3591, 0.7220, 0.4715)  1 N 1.02
H (0.7730, 0.1590, 0.3708)  1 N 1.02
H (0.8410, 0.2270, 0.1292)  1 N 1.02
H (0.1590, 0.7730, 0.8708)  1 N 1.02
H (0.2270, 0.8410, 0.6292)  1 N 1.02
H (0.6409, 0.2780, 0.5285)  1 N 1.02
H (0.7220, 0.3591, 0.9715)  1 N 1.02
H (0.5272, 0.3473, 0.4142)  1 N 1.02
H (0.6527, 0.4728, 0.0858)  1 N 1.02
C (0.3072, 0.6928, 0.7500)  3 N 1.34
C (0.6928, 0.3072, 0.2500)  3 N 1.34
Br (0.1963, 0.2778, 0.3643)  2 Cd 2.68-2.93, 1 H 2.72
Br (0.7222, 0.8037, 0.1357)  2 Cd 2.68-2.93, 1 H 2.72
Br (0.7893, 0.2107, 0.7500)  2 H 2.52, 1 Cd 2.63
Br (0.2107, 0.7893, 0.2500)  2 H 2.52, 1 Cd 2.63
Br (0.2778, 0.1963, 0.8643)  2 Cd 2.68-2.93, 1 H 2.72
Br (0.8037, 0.7222, 0.6357)  2 Cd 2.68-2.93, 1 H 2.72
N (0.3073, 0.6110, 0.9102)  2 H 1.02
N (0.3890, 0.6927, 0.5898)  2 H 1.02
N (0.7750, 0.2250, 0.2500)  2 H 1.02
N (0.2250, 0.7750, 0.7500)  2 H 1.02
N (0.6110, 0.3073, 0.4102)  2 H 1.02
N (0.6927, 0.3890, 0.0898)  2 H 1.02

Density functional theory data (PBE-GGA) for crystalline K2TcH9 at its relaxed geometry.

Output
The theoretical density comes out at 2064 kg/m3. The calculated formation energy comes out at -0.353 eV/atom. Its MP2020-corrected energy is -3.946 eV per atom. The calculation puts the raw total energy at -3.811 eV per atom.

Unit cell a=9.6046 b=9.6046 c=5.5966 alpha=90.00 beta=90.00 gamma=120.00
Closest atoms and distances in Å follow each position.
Fractional coordinates of all 36 atoms:
K (0.2621, 0.0000, 0.5000)  10 H 2.71-2.93
K (0.0000, 0.2621, 0.5000)  10 H 2.71-2.93
K (0.7379, 0.7379, 0.5000)  10 H 2.71-2.93
K (0.5885, 0.0000, 0.0000)  14 H 2.93-3.06
K (0.0000, 0.5885, 0.0000)  14 H 2.93-3.06
K (0.4115, 0.4115, 0.0000)  14 H 2.93-3.06
Tc (0.0000, 0.0000, 0.0000)  9 H 1.66-1.70
Tc (0.3333, 0.6667, 0.5000)  9 H 1.66-1.70
Tc (0.6667, 0.3333, 0.5000)  9 H 1.66-1.70
H (0.8733, 0.0000, 0.2115)  1 Tc 1.70, 2 H 1.90
H (0.0000, 0.8733, 0.2115)  1 Tc 1.70, 2 H 1.90
H (0.8733, 0.0000, 0.7885)  1 Tc 1.70, 2 H 1.90
H (0.0000, 0.8733, 0.7885)  1 Tc 1.70, 2 H 1.90
H (0.1267, 0.1267, 0.2115)  1 Tc 1.70, 2 H 1.90
H (0.1267, 0.1267, 0.7885)  1 Tc 1.70, 2 H 1.90
H (0.1724, 0.0000, 0.0000)  1 Tc 1.66
H (0.0000, 0.1724, 0.0000)  1 Tc 1.66
H (0.8276, 0.8276, 0.0000)  1 Tc 1.66
H (0.2252, 0.5336, 0.2818)  1 Tc 1.70
H (0.4664, 0.6916, 0.2818)  1 Tc 1.70
H (0.2252, 0.5336, 0.7182)  1 Tc 1.70
H (0.5336, 0.2252, 0.7182)  1 Tc 1.70
H (0.3084, 0.7748, 0.2818)  1 Tc 1.70
H (0.4664, 0.6916, 0.7182)  1 Tc 1.70
H (0.6916, 0.4664, 0.7182)  1 Tc 1.70
H (0.5336, 0.2252, 0.2818)  1 Tc 1.70
H (0.3084, 0.7748, 0.7182)  1 Tc 1.70
H (0.6916, 0.4664, 0.2818)  1 Tc 1.70
H (0.7748, 0.3084, 0.7182)  1 Tc 1.70
H (0.7748, 0.3084, 0.2818)  1 Tc 1.70
H (0.3681, 0.5139, 0.5000)  1 Tc 1.66
H (0.4861, 0.8542, 0.5000)  1 Tc 1.66
H (0.5139, 0.3681, 0.5000)  1 Tc 1.66
H (0.1458, 0.6319, 0.5000)  1 Tc 1.66
H (0.8542, 0.4861, 0.5000)  1 Tc 1.66
H (0.6319, 0.1458, 0.5000)  1 Tc 1.66

Density functional theory data (PBE-GGA) for crystalline Mg2BP2O10 at its relaxed geometry.

Output
The theoretical density comes out at 2670 kg/m3. The calculated formation energy comes out at -2.497 eV/atom. The value obtained for the magnetization is 3.000 μB/f.u. Its MP2020-corrected energy is -7.176 eV per atom. The calculation puts the raw total energy at -6.718 eV per atom.

Unit cell a=6.5249 b=6.5249 c=8.4001 alpha=83.57 beta=83.57 gamma=81.69
Closest atoms and distances in Å follow each position.
Fractional coordinates of all 30 atoms:
Mg (0.9188, 0.7752, 0.3252)  6 O 2.01-2.22
Mg (0.5367, 0.1413, 0.3501)  6 O 2.02-2.20
Mg (0.2248, 0.0812, 0.6748)  6 O 2.01-2.22
Mg (0.8587, 0.4633, 0.6499)  6 O 2.02-2.20
B (0.7294, 0.7177, 0.9727)  4 O 1.43-1.48
B (0.2823, 0.2706, 0.0273)  4 O 1.43-1.48
P (0.0294, 0.2539, 0.3234)  4 O 1.55-1.57
P (0.7461, 0.9706, 0.6766)  4 O 1.55-1.57
P (0.3199, 0.5394, 0.7415)  4 O 1.51-1.58
P (0.4606, 0.6801, 0.2585)  4 O 1.51-1.58
O (0.5446, 0.4960, 0.6673)  1 P 1.53
O (0.5901, 0.8247, 0.3256)  1 P 1.54
O (0.8676, 0.1042, 0.3175)  1 P 1.55
O (0.2154, 0.1478, 0.4153)  1 P 1.55
O (0.8522, 0.7846, 0.5847)  1 P 1.55
O (0.9276, 0.4546, 0.3983)  1 P 1.55
O (0.6748, 0.8925, 0.8548)  1 B 1.45, 1 P 1.57
O (0.1075, 0.3252, 0.1452)  1 B 1.45, 1 P 1.57
O (0.5454, 0.0724, 0.6017)  1 P 1.55
O (0.8897, 0.7474, 0.0680)  1 B 1.43
O (0.4699, 0.1791, 0.0966)  1 B 1.44
O (0.2526, 0.1103, 0.9320)  1 B 1.43
O (0.8209, 0.5301, 0.9034)  1 B 1.44
O (0.5040, 0.4554, 0.3327)  1 P 1.53
O (0.2459, 0.7706, 0.7225)  1 P 1.51
O (0.1753, 0.4099, 0.6744)  1 P 1.54
O (0.5353, 0.6780, 0.0731)  1 B 1.48, 1 P 1.58
O (0.3220, 0.4647, 0.9269)  1 B 1.48, 1 P 1.58
O (0.8958, 0.1324, 0.6825)  1 P 1.55
O (0.2294, 0.7541, 0.2775)  1 P 1.51

Density functional theory data (PBE-GGA) for crystalline Ga3Au at its relaxed geometry.

Output
The theoretical density comes out at 9082 kg/m3. The calculated formation energy comes out at -0.033 eV/atom. The value obtained for the magnetization is 0.000 μB/f.u. The calculation puts the raw total energy at -3.123 eV per atom.

Unit cell a=4.7179 b=4.7179 c=4.7179 alpha=60.00 beta=60.00 gamma=60.00
Closest atoms and distances in Å follow each position.
Fractional coordinates of all 4 atoms:
Ga (0.2500, 0.2500, 0.2500)  4 Ga 2.89, 4 Au 2.89
Ga (0.7500, 0.7500, 0.7500)  4 Au 2.89, 4 Ga 2.89
Ga (0.5000, 0.5000, 0.5000)  8 Ga 2.89
Au (0.0000, 0.0000, 0.0000)  8 Ga 2.89

Density functional theory data (PBE-GGA) for crystalline Sr2Ir at its relaxed geometry.

Output
The theoretical density comes out at 6330 kg/m3. The calculated formation energy comes out at -0.096 eV/atom. The calculation puts the raw total energy at -4.168 eV per atom.

Unit cell a=5.1466 b=5.1466 c=5.1466 alpha=60.00 beta=60.00 gamma=60.00
Closest atoms and distances in Å follow each position.
Fractional coordinates of all 3 atoms:
Sr (0.7500, 0.7500, 0.7500)  4 Ir 3.15
Sr (0.2500, 0.2500, 0.2500)  4 Ir 3.15
Ir (0.0000, 0.0000, 0.0000)  8 Sr 3.15

Q: Number 5 is which compound?
A: Ga3Au